An optimized crystal structure of Li4Ti3Fe3Sb2O16, computed with PBE with a Hubbard U.

Calculated values
Offset from the most stable computed form in meV/atom: 0
Calculated volume in Å³ per atom: 11.14
Energy in eV/atom: -6.9462
Energy of formation in eV/atom: -2.4320

Structure (extended XYZ):
```
28
Lattice="6.013 0.000 0.000 -2.980 5.262 0.000 -0.085 -0.167 9.856" Properties=species:S:1:pos:R:3 pbc="T T T"
Fe -1.504 4.272 7.021
O -1.477 4.406 0.930
O -1.390 2.547 8.340
Fe 1.417 4.266 7.031
Ti -0.056 1.673 7.071
O -0.075 3.268 5.984
Ti 4.465 0.889 2.139
O 1.515 4.406 0.915
Sb -0.078 3.390 9.726
O 1.218 2.516 8.395
Ti 1.539 0.914 2.119
O 4.366 2.389 3.346
O 1.454 0.799 5.947
Li -0.027 3.417 3.984
O 4.534 0.850 5.905
Fe 2.988 3.424 2.059
O -0.004 1.769 0.964
O 3.047 3.500 5.813
O 3.009 1.552 1.040
O -0.015 0.054 2.964
O 1.587 2.373 3.372
Li -0.046 -0.053 4.836
Li 2.956 5.070 9.731
O -0.118 4.897 8.379
Sb 2.994 1.735 4.870
Li 2.924 1.556 8.883
O -0.028 -0.051 7.915
O 2.996 0.145 3.306
```